No. 1
Here is crystalline Re3S4Br at its relaxed geometry from the Materials Project database. Energies are from r²SCAN.

## Properties
ΔH_f (0 K): -0.647 eV per atom
theoretical density: 6.65 g cm⁻³
electronic total energy: -25.98 eV/atom

The structure in POSCAR format:
```
Re3S4Br
1.0
6.4172 0.0000 0.0000
0.0000 11.5975 0.0000
-4.5273 0.0000 10.2912
Re S Br
12 16 4
Direct
0.0340 0.0633 0.1572
0.0340 0.4367 0.6572
0.0348 0.1452 0.9431
0.0348 0.3548 0.4431
0.3078 0.5227 0.5619
0.3078 0.9773 0.0619
0.6922 0.0227 0.9381
0.6922 0.4773 0.4381
0.9652 0.6452 0.5569
0.9652 0.8548 0.0569
0.9660 0.5633 0.3428
0.9660 0.9367 0.8428
0.2228 0.7116 0.4668
0.2228 0.7884 0.9668
0.2735 0.0594 0.8469
0.2735 0.4406 0.3469
0.2853 0.5960 0.7547
0.2853 0.9040 0.2547
0.3483 0.1686 0.1507
0.3483 0.3314 0.6507
0.6517 0.6686 0.3493
0.6517 0.8314 0.8493
0.7147 0.0960 0.7453
0.7147 0.4040 0.2453
0.7265 0.5594 0.6531
0.7265 0.9406 0.1531
0.7772 0.2116 0.0332
0.7772 0.2884 0.5332
0.0998 0.1404 0.3889
0.0998 0.3596 0.8889
0.9002 0.6404 0.1111
0.9002 0.8596 0.6111
```

No. 2
Here is crystalline DyZnNi at its relaxed geometry from the Materials Project database. Energies are from r²SCAN.

## Properties
ΔH_f (0 K): -0.450 eV per atom
theoretical density: 9.13 g cm⁻³
electronic total energy: -18.08 eV/atom

The structure in POSCAR format:
```
DyZnNi
1.0
6.9481 0.0000 0.0000
-3.4740 6.0172 0.0000
0.0000 0.0000 3.7407
Dy Zn Ni
3 3 3
Direct
0.0000 0.5909 0.0000
0.4091 0.4091 0.0000
0.5909 0.0000 0.0000
0.0000 0.2410 0.5000
0.2410 0.0000 0.5000
0.7590 0.7590 0.5000
0.0000 0.0000 0.0000
0.3333 0.6667 0.5000
0.6667 0.3333 0.5000
```

No. 3
Here is crystalline B8O at its relaxed geometry from the Materials Project database. Energies are from r²SCAN.

## Properties
ΔH_f (0 K): -0.569 eV per atom
theoretical density: 2.56 g cm⁻³
electronic total energy: -7.76 eV/atom

The structure in POSCAR format:
```
B8O
1.0
4.3846 -2.6530 0.0000
4.3846 2.6530 0.0000
-3.1529 0.0000 8.5605
B O
24 3
Direct
0.0000 0.0000 0.0000
0.0101 0.6714 0.6603
0.1338 0.1338 0.3466
0.1664 0.8354 0.1711
0.1703 0.5018 0.1652
0.2076 0.2076 0.0016
0.3354 0.6748 0.6557
0.3369 0.3369 0.3329
0.3566 0.9155 0.5529
0.3910 0.8661 0.0644
0.4457 0.9755 0.7597
0.4696 0.9483 0.2681
0.5018 0.1703 0.1652
0.5063 0.5063 0.4902
0.6309 0.6309 0.8221
0.6714 0.0101 0.6603
0.6748 0.3354 0.6557
0.7131 0.7131 0.4993
0.8354 0.1664 0.1711
0.8392 0.8392 0.8294
0.8661 0.3910 0.0644
0.9155 0.3566 0.5529
0.9483 0.4696 0.2681
0.9755 0.4457 0.7597
0.2362 0.2362 0.8510
0.5994 0.5994 0.9730
0.7442 0.7442 0.3531
```

No. 4
Here is crystalline BaAgBi at its relaxed geometry from the Materials Project database. Energies are from r²SCAN.

## Properties
ΔH_f (0 K): -0.319 eV per atom
theoretical density: 7.35 g cm⁻³
electronic total energy: -35.77 eV/atom

The structure in POSCAR format:
```
BaAgBi
1.0
5.8103 0.0000 0.0000
-2.9052 5.0319 0.0000
0.0000 0.0000 7.0201
Ba Ag Bi
2 2 2
Direct
0.3333 0.6667 0.2500
0.6667 0.3333 0.7500
0.0000 0.0000 0.0000
0.0000 0.0000 0.5000
0.3333 0.6667 0.7500
0.6667 0.3333 0.2500
```

No. 5
Here is crystalline Hg at its relaxed geometry from the Materials Project database. Energies are from r²SCAN.

## Properties
ΔH_f (0 K): 0.007 eV per atom
theoretical density: 11.73 g cm⁻³
energy above the most stable polymorph in this dataset: 7 meV per atom
electronic total energy: -49.36 eV/atom

The structure in POSCAR format:
```
Hg
1.0
-5.9040 5.9040 5.9040
5.9040 -5.9040 5.9040
5.9040 5.9040 -5.9040
Hg
29
Direct
0.0000 0.0000 0.0000
0.0000 0.0000 0.3487
0.0000 0.3101 0.5890
0.0000 0.3487 0.0000
0.0000 0.5890 0.3101
0.0000 0.6215 0.8073
0.0000 0.8073 0.6215
0.1859 0.3785 0.3785
0.1927 0.1927 0.8141
0.1927 0.8141 0.1927
0.2788 0.6899 0.6899
0.3101 0.0000 0.5890
0.3101 0.5890 0.0000
0.3487 0.0000 0.0000
0.3785 0.1859 0.3785
0.3785 0.3785 0.1859
0.4110 0.4110 0.7212
0.4110 0.7212 0.4110
0.5890 0.0000 0.3101
0.5890 0.3101 0.0000
0.6215 0.0000 0.8073
0.6215 0.8073 0.0000
0.6513 0.6513 0.6513
0.6899 0.2788 0.6899
0.6899 0.6899 0.2788
0.7212 0.4110 0.4110
0.8073 0.0000 0.6215
0.8073 0.6215 0.0000
0.8141 0.1927 0.1927
```

No. 6
Here is crystalline LiC12 at its relaxed geometry from the Materials Project database. Energies are from r²SCAN.

## Properties
ΔH_f (0 K): -0.023 eV per atom
theoretical density: 2.25 g cm⁻³
electronic total energy: -9.39 eV/atom

The structure in POSCAR format:
```
LiC12
1.0
4.2791 0.0000 0.0000
-2.1396 3.7058 0.0000
0.0000 0.0000 7.0270
Li C
1 12
Direct
0.0000 0.0000 0.0000
0.0000 0.3332 0.2645
0.0000 0.3332 0.7355
0.0000 0.6668 0.2645
0.0000 0.6668 0.7355
0.3332 0.0000 0.2645
0.3332 0.0000 0.7355
0.3332 0.3332 0.2645
0.3332 0.3332 0.7355
0.6668 0.0000 0.2645
0.6668 0.0000 0.7355
0.6668 0.6668 0.2645
0.6668 0.6668 0.7355
```

No. 7
Here is crystalline Nd2In8Co at its relaxed geometry from the Materials Project database. Energies are from r²SCAN.

## Properties
ΔH_f (0 K): -0.427 eV per atom
theoretical density: 8.01 g cm⁻³
electronic total energy: -23.40 eV/atom

The structure in POSCAR format:
```
Nd2In8Co
1.0
4.6213 0.0000 0.0000
0.0000 4.6213 0.0000
0.0000 0.0000 12.2959
Nd In Co
2 8 1
Direct
0.0000 0.0000 0.1941
0.0000 0.0000 0.8059
0.0000 0.5000 0.0000
0.0000 0.5000 0.3838
0.0000 0.5000 0.6162
0.5000 0.0000 0.0000
0.5000 0.0000 0.3838
0.5000 0.0000 0.6162
0.5000 0.5000 0.1934
0.5000 0.5000 0.8066
0.0000 0.0000 0.5000
```

No. 8
Here is crystalline Ca2CdPd2 at its relaxed geometry from the Materials Project database. Energies are from r²SCAN.

## Properties
ΔH_f (0 K): -0.667 eV per atom
theoretical density: 5.91 g cm⁻³
electronic total energy: -16.69 eV/atom

The structure in POSCAR format:
```
Ca2CdPd2
1.0
4.4757 0.0000 0.0000
0.0000 5.9046 0.0000
0.0000 0.0000 8.6150
Ca Cd Pd
4 2 4
Direct
0.0000 0.0000 0.2015
0.0000 0.0000 0.7985
0.5000 0.5000 0.2985
0.5000 0.5000 0.7015
0.0000 0.5000 0.0000
0.5000 0.0000 0.5000
0.0000 0.2703 0.5000
0.0000 0.7297 0.5000
0.5000 0.2297 0.0000
0.5000 0.7703 0.0000
```

No. 9
Here is crystalline HgS2O7 at its relaxed geometry from the Materials Project database. Energies are from r²SCAN.

## Properties
ΔH_f (0 K): -1.163 eV per atom
theoretical density: 4.48 g cm⁻³
electronic total energy: -11.89 eV/atom

The structure in POSCAR format:
```
HgS2O7
1.0
5.2101 0.0000 0.0000
0.0000 12.9896 0.0000
-4.8653 0.0000 8.2521
Hg S O
4 8 28
Direct
0.1462 0.1571 0.3286
0.1462 0.3429 0.8286
0.8538 0.6571 0.1714
0.8538 0.8429 0.6714
0.2581 0.6767 0.5910
0.2581 0.8233 0.0910
0.3597 0.0210 0.6922
0.3597 0.4790 0.1921
0.6403 0.5210 0.8078
0.6403 0.9790 0.3078
0.7419 0.1767 0.9090
0.7419 0.3233 0.4090
0.0247 0.1662 0.0571
0.0247 0.3338 0.5571
0.1970 0.5135 0.2685
0.1970 0.9865 0.7685
0.2271 0.1097 0.5883
0.2271 0.3903 0.0883
0.2395 0.7364 0.7138
0.2395 0.7636 0.2138
0.3176 0.5587 0.6590
0.3176 0.9413 0.1590
0.4420 0.5602 0.1192
0.4420 0.9398 0.6192
0.4922 0.2031 0.9279
0.4922 0.2969 0.4279
0.5078 0.7031 0.5721
0.5078 0.7969 0.0721
0.5580 0.0602 0.3808
0.5580 0.4398 0.8808
0.6824 0.0587 0.8410
0.6824 0.4413 0.3410
0.7605 0.2364 0.7862
0.7605 0.2636 0.2862
0.7729 0.6097 0.9117
0.7729 0.8903 0.4117
0.8030 0.0135 0.2315
0.8030 0.4865 0.7315
0.9753 0.6662 0.4429
0.9753 0.8338 0.9429
```

No. 10
Here is crystalline ErZnRh2 at its relaxed geometry from the Materials Project database. Energies are from r²SCAN.

## Properties
ΔH_f (0 K): -0.740 eV per atom
theoretical density: 11.32 g cm⁻³
electronic total energy: -23.52 eV/atom

The structure in POSCAR format:
```
ErZnRh2
1.0
6.3610 0.0000 0.0000
0.0000 6.3610 0.0000
0.0000 0.0000 6.3610
Er Zn Rh
4 4 8
Direct
0.0000 0.0000 0.0000
0.0000 0.5000 0.5000
0.5000 0.0000 0.5000
0.5000 0.5000 0.0000
0.0000 0.0000 0.5000
0.0000 0.5000 0.0000
0.5000 0.0000 0.0000
0.5000 0.5000 0.5000
0.2500 0.2500 0.2500
0.2500 0.2500 0.7500
0.2500 0.7500 0.2500
0.2500 0.7500 0.7500
0.7500 0.2500 0.2500
0.7500 0.2500 0.7500
0.7500 0.7500 0.2500
0.7500 0.7500 0.7500
```

No. 11
Here is crystalline MgCu4Sn at its relaxed geometry from the Materials Project database. Energies are from r²SCAN.

## Properties
ΔH_f (0 K): -0.114 eV per atom
theoretical density: 7.75 g cm⁻³
electronic total energy: -12.16 eV/atom

The structure in POSCAR format:
```
MgCu4Sn
1.0
0.0000 3.4919 3.4919
3.4919 0.0000 3.4919
3.4919 3.4919 0.0000
Mg Cu Sn
1 4 1
Direct
0.0000 0.0000 0.0000
0.1235 0.6255 0.6255
0.6255 0.1235 0.6255
0.6255 0.6255 0.1235
0.6255 0.6255 0.6255
0.2500 0.2500 0.2500
```

No. 12
Here is crystalline CeB4Ir4 at its relaxed geometry from the Materials Project database. Energies are from r²SCAN.

## Properties
ΔH_f (0 K): -0.631 eV per atom
theoretical density: 13.51 g cm⁻³
electronic total energy: -30.59 eV/atom

The structure in POSCAR format:
```
CeB4Ir4
1.0
7.6954 0.0000 0.0000
0.0000 7.6954 0.0000
0.0000 0.0000 3.9540
Ce B Ir
2 8 8
Direct
0.2500 0.2500 0.2500
0.7500 0.7500 0.7500
0.0292 0.5916 0.1415
0.0916 0.9708 0.6415
0.4084 0.5292 0.6415
0.4708 0.9084 0.1415
0.5292 0.0916 0.8585
0.5916 0.4708 0.3585
0.9084 0.0292 0.3585
0.9708 0.4084 0.8585
0.0890 0.8585 0.1402
0.1415 0.5890 0.6402
0.3585 0.9110 0.6402
0.4110 0.6415 0.1402
0.5890 0.3585 0.8598
0.6415 0.0890 0.3598
0.8585 0.4110 0.3598
0.9110 0.1415 0.8598
```

No. 13
Here is crystalline Rb2ZnF4 at its relaxed geometry from the Materials Project database. Energies are from r²SCAN.

## Properties
ΔH_f (0 K): -2.835 eV per atom
theoretical density: 4.46 g cm⁻³
electronic total energy: -9.87 eV/atom

The structure in POSCAR format:
```
Rb2ZnF4
1.0
4.1228 0.0000 0.0000
0.0000 4.1228 0.0000
0.0000 0.0000 13.6825
Rb Zn F
4 2 8
Direct
0.0000 0.0000 0.1470
0.0000 0.0000 0.8530
0.5000 0.5000 0.3530
0.5000 0.5000 0.6470
0.0000 0.0000 0.5000
0.5000 0.5000 0.0000
0.0000 0.0000 0.3523
0.0000 0.0000 0.6477
0.0000 0.5000 0.0000
0.0000 0.5000 0.5000
0.5000 0.0000 0.0000
0.5000 0.0000 0.5000
0.5000 0.5000 0.1477
0.5000 0.5000 0.8523
```

No. 14
Here is crystalline TmTl at its relaxed geometry from the Materials Project database. Energies are from r²SCAN.

## Properties
ΔH_f (0 K): -0.387 eV per atom
theoretical density: 12.08 g cm⁻³
electronic total energy: -44.54 eV/atom

The structure in POSCAR format:
```
TmTl
1.0
3.7162 0.0000 0.0000
0.0000 3.7162 0.0000
0.0000 0.0000 3.7162
Tm Tl
1 1
Direct
0.0000 0.0000 0.0000
0.5000 0.5000 0.5000
```

No. 15
Here is crystalline ErZnNi at its relaxed geometry from the Materials Project database. Energies are from r²SCAN.

## Properties
ΔH_f (0 K): -0.463 eV per atom
theoretical density: 9.48 g cm⁻³
electronic total energy: -18.74 eV/atom

The structure in POSCAR format:
```
ErZnNi
1.0
6.8848 0.0000 0.0000
-3.4424 5.9624 0.0000
0.0000 0.0000 3.7300
Er Zn Ni
3 3 3
Direct
0.0000 0.4086 0.0000
0.4086 0.0000 0.0000
0.5914 0.5914 0.0000
0.0000 0.7570 0.5000
0.2430 0.2430 0.5000
0.7570 0.0000 0.5000
0.0000 0.0000 0.0000
0.3333 0.6667 0.5000
0.6667 0.3333 0.5000
```

No. 16
Here is crystalline Cs5FeO4 at its relaxed geometry from the Materials Project database. Energies are from r²SCAN.

## Properties
ΔH_f (0 K): -1.433 eV per atom
theoretical density: 4.95 g cm⁻³
electronic total energy: -17.82 eV/atom

The structure in POSCAR format:
```
Cs5FeO4
1.0
11.3810 0.0000 0.0000
0.0000 12.7925 0.0000
-1.1512 0.0000 7.2274
Cs Fe O
20 4 16
Direct
0.0050 0.1363 0.4260
0.0050 0.3637 0.9260
0.1333 0.0705 0.9510
0.1333 0.4295 0.4510
0.2661 0.7030 0.5101
0.2661 0.7970 0.0101
0.3504 0.1757 0.6647
0.3504 0.3243 0.1647
0.4919 0.5756 0.2408
0.4919 0.9244 0.7408
0.5081 0.0756 0.2592
0.5081 0.4244 0.7592
0.6496 0.6757 0.8353
0.6496 0.8243 0.3353
0.7339 0.2030 0.9899
0.7339 0.2970 0.4899
0.8667 0.5705 0.5490
0.8667 0.9295 0.0490
0.9950 0.6363 0.0740
0.9950 0.8637 0.5740
0.2462 0.5320 0.8875
0.2462 0.9680 0.3875
0.7538 0.0320 0.6125
0.7538 0.4680 0.1125
0.1106 0.5942 0.7445
0.1106 0.9058 0.2445
0.2280 0.5328 0.1422
0.2280 0.9672 0.6422
0.2597 0.1114 0.3156
0.2597 0.3886 0.8156
0.3880 0.6065 0.8555
0.3880 0.8935 0.3555
0.6120 0.1065 0.6445
0.6120 0.3935 0.1445
0.7403 0.6114 0.1844
0.7403 0.8886 0.6844
0.7720 0.0328 0.3578
0.7720 0.4672 0.8578
0.8894 0.0942 0.7555
0.8894 0.4058 0.2555
```

No. 17
Here is crystalline ScCoGe at its relaxed geometry from the Materials Project database. Energies are from r²SCAN.

## Properties
ΔH_f (0 K): -0.680 eV per atom
theoretical density: 6.43 g cm⁻³
electronic total energy: -13.51 eV/atom

The structure in POSCAR format:
```
ScCoGe
1.0
6.4817 0.0000 0.0000
0.0000 4.0439 0.0000
0.0000 0.0000 6.9517
Sc Co Ge
4 4 4
Direct
0.0052 0.2500 0.2016
0.4948 0.7500 0.7016
0.5052 0.2500 0.2984
0.9948 0.7500 0.7984
0.1506 0.7500 0.4399
0.3494 0.2500 0.9399
0.6506 0.7500 0.0601
0.8494 0.2500 0.5601
0.2136 0.2500 0.6087
0.2864 0.7500 0.1087
0.7136 0.2500 0.8913
0.7864 0.7500 0.3913
```

| no. | size of the total moment (μB per formula unit) |
| --- | --- |
| 1 | 0.00 |
| 2 | 0.00 |
| 3 | 0.00 |
| 4 | 0.00 |
| 5 | 0.00 |
| 6 | 0.00 |
| 7 | 0.00 |
| 8 | 0.00 |
| 9 | 0.00 |
| 10 | 0.00 |
| 11 | 0.00 |
| 12 | 0.75 |
| 13 | 0.00 |
| 14 | 0.00 |
| 15 | 0.00 |
| 16 | 5.00 |
| 17 | 0.00 |